<i>
A relaxed MgAg2 crystal. Source: the Materials Project database, functional GGA-PBE.

Unit cell a=5.145 b=5.145 c=4.884 alpha=90.00 beta=90.00 gamma=58.38
Fractional coordinates of all 6 atoms:
Mg (0.197, 0.803, 0.750)
Mg (0.803, 0.197, 0.250)
Ag (0.148, 0.521, 0.250)
Ag (0.479, 0.852, 0.250)
Ag (0.521, 0.148, 0.750)
Ag (0.852, 0.479, 0.750)

Summary:
- SG: Cmcm (63)
- V: 110 Å³ per cell

***

<ii>
A relaxed MgAg2 crystal. Source: the Materials Project database, functional GGA-PBE.

Unit cell a=7.633 b=7.633 c=4.776 alpha=90.00 beta=90.00 gamma=156.64
Fractional coordinates of all 6 atoms:
Mg (0.108, 0.892, 0.750)
Mg (0.892, 0.108, 0.250)
Ag (0.225, 0.775, 0.250)
Ag (0.443, 0.557, 0.750)
Ag (0.557, 0.443, 0.250)
Ag (0.775, 0.225, 0.750)

Summary:
- SG: Cmcm (63)
- V: 110 Å³ per cell

***

Winner for stability: <i>

***

<i>
A relaxed ZnSb2O4 crystal. Source: the Materials Project database, functional GGA-PBE.

Unit cell a=6.490 b=6.490 c=12.029 alpha=115.97 beta=115.97 gamma=30.39
Fractional coordinates of all 14 atoms:
Zn (0.174, 0.174, 0.217)
Zn (0.826, 0.826, 0.783)
Sb (0.147, 0.138, 0.841)
Sb (0.373, 0.396, 0.557)
Sb (0.604, 0.627, 0.443)
Sb (0.862, 0.853, 0.159)
O (0.082, 0.054, 0.300)
O (0.245, 0.209, 0.575)
O (0.324, 0.314, 0.862)
O (0.370, 0.357, 0.260)
O (0.643, 0.630, 0.740)
O (0.686, 0.676, 0.138)
O (0.791, 0.755, 0.425)
O (0.946, 0.918, 0.700)

Summary:
- SG: C2 (5)
- V: 228 Å³ per cell

***

<ii>
A relaxed ZnSb2O4 crystal. Source: the Materials Project database, functional GGA-PBE.

Unit cell a=5.980 b=6.045 c=21.159 alpha=92.49 beta=94.67 gamma=112.58
Fractional coordinates of all 42 atoms:
Zn (0.000, 0.000, 0.000)
Zn (0.034, 0.012, 0.662)
Zn (0.087, 0.049, 0.216)
Zn (0.372, 0.717, 0.347)
Zn (0.454, 0.711, 0.569)
Zn (0.757, 0.318, 0.934)
Sb (0.045, 0.487, 0.089)
Sb (0.159, 0.338, 0.809)
Sb (0.381, 0.178, 0.466)
Sb (0.412, 0.853, 0.726)
Sb (0.425, 0.706, 0.956)
Sb (0.500, 0.626, 0.202)
Sb (0.550, 0.051, 0.088)
Sb (0.694, 0.314, 0.322)
Sb (0.701, 0.430, 0.692)
Sb (0.808, 0.754, 0.845)
Sb (0.885, 0.240, 0.539)
Sb (0.919, 0.684, 0.449)
O (0.026, 0.029, 0.432)
O (0.048, 0.545, 0.381)
O (0.048, 0.750, 0.720)
O (0.099, 0.062, 0.865)
O (0.164, 0.354, 0.018)
O (0.241, 0.359, 0.552)
O (0.272, 0.900, 0.011)
O (0.308, 0.848, 0.499)
O (0.381, 0.804, 0.259)
O (0.387, 0.314, 0.246)
O (0.397, 0.075, 0.660)
O (0.487, 0.643, 0.663)
O (0.501, 0.072, 0.382)
O (0.616, 0.569, 0.371)
O (0.627, 0.986, 0.906)
O (0.674, 0.845, 0.035)
O (0.709, 0.332, 0.037)
O (0.773, 0.648, 0.935)
O (0.818, 0.940, 0.583)
O (0.826, 0.439, 0.610)
O (0.848, 0.752, 0.231)
O (0.935, 0.187, 0.136)
O (0.938, 0.191, 0.731)
O (0.944, 0.470, 0.850)

Summary:
- SG: P1 (1)
- V: 702 Å³ per cell

***

Winner for stability: <i>

***

<i>
A relaxed Li2AgF3 crystal. Source: the Materials Project database, functional GGA-PBE.

Unit cell a=5.362 b=5.362 c=5.394 alpha=90.00 beta=90.00 gamma=61.81
Fractional coordinates of all 12 atoms:
Li (0.167, 0.167, 0.000)
Li (0.167, 0.167, 0.500)
Li (0.833, 0.833, 0.000)
Li (0.833, 0.833, 0.500)
Ag (0.468, 0.532, 0.750)
Ag (0.532, 0.468, 0.250)
F (0.058, 0.942, 0.750)
F (0.099, 0.482, 0.250)
F (0.482, 0.099, 0.750)
F (0.518, 0.901, 0.250)
F (0.901, 0.518, 0.750)
F (0.942, 0.058, 0.250)

Summary:
- SG: Cmcm (63)
- V: 137 Å³ per cell

***

<ii>
A relaxed Li2AgF3 crystal. Source: the Materials Project database, functional GGA-PBE.

Unit cell a=5.944 b=5.944 c=5.288 alpha=97.85 beta=97.85 gamma=127.39
Fractional coordinates of all 12 atoms:
Li (0.147, 0.853, 0.750)
Li (0.243, 0.757, 0.250)
Li (0.757, 0.243, 0.750)
Li (0.853, 0.147, 0.250)
Ag (0.441, 0.559, 0.750)
Ag (0.559, 0.441, 0.250)
F (0.000, 0.500, 0.500)
F (0.103, 0.348, 0.038)
F (0.348, 0.103, 0.538)
F (0.500, 0.000, 0.000)
F (0.652, 0.897, 0.462)
F (0.897, 0.652, 0.962)

Summary:
- SG: C2/c (15)
- V: 141 Å³ per cell

***

<iii>
A relaxed Li2AgF3 crystal. Source: the Materials Project database, functional GGA-PBE.

Unit cell a=12.810 b=2.942 c=7.610 alpha=90.00 beta=90.00 gamma=90.00
Fractional coordinates of all 24 atoms:
Li (0.009, 0.250, 0.148)
Li (0.084, 0.750, 0.470)
Li (0.416, 0.250, 0.970)
Li (0.491, 0.750, 0.648)
Li (0.509, 0.250, 0.352)
Li (0.584, 0.750, 0.030)
Li (0.916, 0.250, 0.530)
Li (0.991, 0.750, 0.852)
Ag (0.245, 0.250, 0.664)
Ag (0.255, 0.750, 0.164)
Ag (0.745, 0.250, 0.836)
Ag (0.755, 0.750, 0.336)
F (0.046, 0.250, 0.656)
F (0.088, 0.750, 0.046)
F (0.164, 0.250, 0.374)
F (0.336, 0.750, 0.874)
F (0.412, 0.250, 0.546)
F (0.454, 0.750, 0.156)
F (0.546, 0.250, 0.844)
F (0.588, 0.750, 0.454)
F (0.664, 0.250, 0.126)
F (0.836, 0.750, 0.626)
F (0.912, 0.250, 0.954)
F (0.954, 0.750, 0.344)

Summary:
- SG: Pnma (62)
- V: 287 Å³ per cell

***

Winner for stability: <ii>

***

<i>
A relaxed MgAlBi12O20 crystal. Source: the Materials Project database, functional GGA-PBE.

Unit cell a=9.013 b=9.013 c=10.394 alpha=124.93 beta=124.93 gamma=69.99
Fractional coordinates of all 34 atoms:
Mg (0.000, 0.000, 0.000)
Al (0.857, 0.143, 0.500)
Bi (0.015, 0.329, 0.358)
Bi (0.035, 0.324, 0.981)
Bi (0.150, 0.828, 0.319)
Bi (0.172, 0.850, 0.681)
Bi (0.356, 0.278, 0.829)
Bi (0.409, 0.006, 0.229)
Bi (0.518, 0.468, 0.675)
Bi (0.532, 0.482, 0.325)
Bi (0.671, 0.985, 0.642)
Bi (0.676, 0.965, 0.019)
Bi (0.722, 0.644, 0.171)
Bi (0.994, 0.591, 0.771)
O (0.048, 0.135, 0.483)
O (0.088, 0.849, 0.829)
O (0.151, 0.912, 0.171)
O (0.195, 0.202, 0.177)
O (0.221, 0.531, 0.129)
O (0.232, 0.146, 0.876)
O (0.237, 0.488, 0.612)
O (0.469, 0.779, 0.871)
O (0.477, 0.021, 0.734)
O (0.484, 0.157, 0.511)
O (0.512, 0.763, 0.388)
O (0.586, 0.374, 0.112)
O (0.626, 0.414, 0.888)
O (0.647, 0.138, 0.301)
O (0.798, 0.805, 0.823)
O (0.843, 0.516, 0.489)
O (0.854, 0.768, 0.124)
O (0.862, 0.353, 0.699)
O (0.865, 0.952, 0.517)
O (0.979, 0.523, 0.266)

Summary:
- SG: C2 (5)
- V: 567 Å³ per cell

***

<ii>
A relaxed MgAlBi12O20 crystal. Source: the Materials Project database, functional GGA-PBE.

Unit cell a=8.907 b=9.023 c=9.030 alpha=109.71 beta=109.21 gamma=109.17
Fractional coordinates of all 34 atoms:
Mg (0.000, 0.000, 0.000)
Al (0.577, 0.000, 0.000)
Bi (0.076, 0.369, 0.198)
Bi (0.088, 0.686, 0.834)
Bi (0.254, 0.166, 0.852)
Bi (0.276, 0.850, 0.504)
Bi (0.402, 0.148, 0.314)
Bi (0.409, 0.522, 0.714)
Bi (0.427, 0.656, 0.151)
Bi (0.696, 0.287, 0.809)
Bi (0.707, 0.830, 0.632)
Bi (0.773, 0.495, 0.346)
Bi (0.876, 0.802, 0.170)
Bi (0.887, 0.192, 0.478)
O (0.154, 0.189, 0.270)
O (0.190, 0.382, 0.745)
O (0.228, 0.888, 0.271)
O (0.229, 0.000, 0.000)
O (0.332, 0.633, 0.390)
O (0.339, 0.384, 0.112)
O (0.380, 0.780, 0.822)
O (0.444, 0.254, 0.636)
O (0.559, 0.179, 0.959)
O (0.578, 0.599, 0.996)
O (0.582, 0.004, 0.603)
O (0.600, 0.041, 0.220)
O (0.700, 0.758, 0.367)
O (0.776, 0.999, 0.001)
O (0.808, 0.364, 0.618)
O (0.884, 0.729, 0.919)
O (0.943, 0.611, 0.243)
O (0.955, 0.728, 0.616)
O (0.965, 0.082, 0.811)
O (0.979, 0.397, 0.401)

Summary:
- SG: P1 (1)
- V: 561 Å³ per cell

***

<iii>
A relaxed MgAlBi12O20 crystal. Source: the Materials Project database, functional GGA-PBE.

Unit cell a=8.989 b=8.990 c=8.993 alpha=108.61 beta=108.55 gamma=108.48
Fractional coordinates of all 34 atoms:
Mg (0.000, 0.000, 0.000)
Al (0.754, 0.755, 0.754)
Bi (0.038, 0.378, 0.203)
Bi (0.122, 0.636, 0.964)
Bi (0.205, 0.039, 0.378)
Bi (0.330, 0.521, 0.676)
Bi (0.377, 0.207, 0.038)
Bi (0.516, 0.996, 0.708)
Bi (0.520, 0.679, 0.330)
Bi (0.635, 0.967, 0.123)
Bi (0.677, 0.331, 0.520)
Bi (0.707, 0.517, 0.995)
Bi (0.965, 0.124, 0.634)
Bi (0.994, 0.708, 0.514)
O (0.090, 0.471, 0.717)
O (0.095, 0.203, 0.476)
O (0.202, 0.203, 0.201)
O (0.203, 0.479, 0.096)
O (0.213, 0.960, 0.603)
O (0.219, 0.583, 0.468)
O (0.439, 0.831, 0.835)
O (0.468, 0.221, 0.583)
O (0.471, 0.719, 0.091)
O (0.476, 0.097, 0.202)
O (0.571, 0.572, 0.571)
O (0.582, 0.470, 0.220)
O (0.604, 0.214, 0.960)
O (0.717, 0.092, 0.470)
O (0.789, 0.981, 0.802)
O (0.801, 0.790, 0.980)
O (0.830, 0.836, 0.439)
O (0.835, 0.440, 0.830)
O (0.960, 0.605, 0.213)
O (0.979, 0.801, 0.789)

Summary:
- SG: P1 (1)
- V: 578 Å³ per cell

***

<iv>
A relaxed MgAlBi12O20 crystal. Source: the Materials Project database, functional GGA-PBE.

Unit cell a=9.053 b=9.111 c=9.146 alpha=109.07 beta=109.04 gamma=109.78
Fractional coordinates of all 34 atoms:
Mg (0.000, 0.000, 0.000)
Al (0.889, 0.749, 0.084)
Bi (0.060, 0.621, 0.428)
Bi (0.077, 0.098, 0.623)
Bi (0.102, 0.497, 0.979)
Bi (0.277, 0.935, 0.922)
Bi (0.286, 0.351, 0.307)
Bi (0.356, 0.957, 0.353)
Bi (0.409, 0.588, 0.777)
Bi (0.590, 0.302, 0.913)
Bi (0.637, 0.675, 0.290)
Bi (0.690, 0.959, 0.711)
Bi (0.715, 0.461, 0.619)
Bi (0.778, 0.130, 0.236)
O (0.100, 0.960, 0.220)
O (0.165, 0.676, 0.714)
O (0.195, 0.418, 0.493)
O (0.269, 0.412, 0.855)
O (0.275, 0.557, 0.238)
O (0.300, 0.058, 0.731)
O (0.300, 0.785, 0.086)
O (0.491, 0.196, 0.356)
O (0.518, 0.399, 0.718)
O (0.551, 0.037, 0.979)
O (0.568, 0.573, 0.499)
O (0.662, 0.925, 0.453)
O (0.692, 0.203, 0.745)
O (0.713, 0.772, 0.117)
O (0.810, 0.400, 0.338)
O (0.853, 0.739, 0.875)
O (0.914, 0.569, 0.100)
O (0.922, 0.165, 0.097)
O (0.923, 0.787, 0.471)
O (0.988, 0.078, 0.813)

Summary:
- SG: P1 (1)
- V: 584 Å³ per cell

***

Winner for stability: <ii>

***

<i>
A relaxed MgMn2S4 crystal. Source: the Materials Project database, functional GGA-PBE.

Unit cell a=6.032 b=3.436 c=6.342 alpha=90.00 beta=91.74 gamma=90.00
Fractional coordinates of all 7 atoms:
Mg (0.000, 0.000, 0.000)
Mn (0.000, 0.500, 0.500)
Mn (0.500, 0.000, 0.000)
S (0.205, 0.000, 0.665)
S (0.291, 0.500, 0.163)
S (0.709, 0.500, 0.837)
S (0.795, 0.000, 0.335)

Summary:
- SG: P2/m (10)
- V: 131 Å³ per cell

***

<ii>
A relaxed MgMn2S4 crystal. Source: the Materials Project database, functional GGA-PBE.

Unit cell a=7.375 b=7.375 c=7.375 alpha=121.83 beta=121.83 gamma=86.86
Fractional coordinates of all 14 atoms:
Mg (0.375, 0.625, 0.750)
Mg (0.625, 0.375, 0.250)
Mn (0.000, 0.000, 0.000)
Mn (0.000, 0.000, 0.500)
Mn (0.000, 0.500, 0.000)
Mn (0.500, 0.000, 0.500)
S (0.215, 0.236, 0.978)
S (0.236, 0.215, 0.478)
S (0.236, 0.758, 0.022)
S (0.242, 0.764, 0.478)
S (0.758, 0.236, 0.522)
S (0.764, 0.242, 0.978)
S (0.764, 0.785, 0.522)
S (0.785, 0.764, 0.022)

Summary:
- SG: I4_1/amd (141)
- V: 275 Å³ per cell

***

Winner for stability: <ii>